The following is a DFT calculation (PBE-GGA) of an optimized crystal structure of TbAl4Ni.

Lattice parameters (Å, degrees): 4.067 15.476 6.612 90.00 90.00 90.00
Space group Cmcm (No. 63)
Asymmetric unit:
Tb (0.000, 0.117, 0.250) x4
Al (0.000, 0.077, 0.750) x4
Al (0.000, 0.311, 0.053) x8
Al (0.000, 0.500, 0.000) x4
Ni (0.000, 0.226, 0.750) x4

Theoretical density, g/cm³: 5.20
Calculated total energy, eV/atom: -4.789
E_form, kcal/mol of atoms: -12.8

=====

The following is a DFT calculation (PBE-GGA) of an optimized crystal structure of CaNbNO2.

Lattice parameters (Å, degrees): 5.574 5.715 9.696 90.00 124.82 90.00
Space group P2_1/c (No. 14)
Asymmetric unit:
Ca (0.234, 0.045, 0.247) x4
Nb (0.000, 0.000, 0.500) x2
Nb (0.500, 0.000, 0.000) x2
N (0.166, 0.212, 0.955) x4
O (0.239, 0.709, 0.947) x4
O (0.342, 0.026, 0.751) x4

Theoretical density, g/cm³: 4.69
Magnetization, μB per atom: 0.00
Calculated total energy, eV/atom: -8.225
E_form, kcal/mol of atoms: -56.1

=====

The following is a DFT calculation (PBE-GGA) of an optimized crystal structure of Li2Pr2Si3.

Lattice parameters (Å, degrees): 4.447 18.659 6.861 90.00 90.00 90.00
Space group Cmcm (No. 63)
Asymmetric unit:
Li (0.000, 0.189, 0.060) x8
Pr (0.000, 0.342, 0.250) x4
Pr (0.000, 0.447, 0.750) x4
Si (0.000, 0.058, 0.575) x8
Si (0.000, 0.280, 0.750) x4

Theoretical density, g/cm³: 4.43
Calculated total energy, eV/atom: -4.846
E_form, kcal/mol of atoms: -13.3

=====

The following is a DFT calculation (PBE-GGA) of an optimized crystal structure of Zr2TiSnO8.

Lattice parameters (Å, degrees): 4.895 5.761 5.197 90.00 90.83 90.00
Space group P2 (No. 3)
Asymmetric unit:
Zr (0.000, 0.000, 0.000) x1
Zr (0.500, 0.127, 0.500) x1
Ti (0.000, 0.640, 0.500) x1
Sn (0.500, 0.506, 0.000) x1
O (0.219, 0.923, 0.672) x2
O (0.230, 0.719, 0.190) x2
O (0.253, 0.443, 0.666) x2
O (0.284, 0.225, 0.169) x2

Theoretical density, g/cm³: 5.41
Magnetization, μB per atom: 0.00
Calculated total energy, eV/atom: -8.513
E_form, kcal/mol of atoms: -75.1

=====

The following is a DFT calculation (PBE-GGA) of an optimized crystal structure of Al2Hg3Cl8.

Lattice parameters (Å, degrees): 7.300 15.918 14.794 90.00 98.21 90.00
Space group P2_1/c (No. 14)
Asymmetric unit:
Al (0.102, 0.183, 0.092) x4
Al (0.305, 0.600, 0.779) x4
Hg (0.131, 0.529, 0.198) x4
Hg (0.309, 0.640, 0.109) x4
Hg (0.484, 0.741, 0.530) x4
Cl (0.019, 0.584, 0.707) x4
Cl (0.095, 0.189, 0.545) x4
Cl (0.145, 0.615, 0.456) x4
Cl (0.173, 0.172, 0.237) x4
Cl (0.325, 0.121, 0.028) x4
Cl (0.327, 0.524, 0.900) x4
Cl (0.342, 0.731, 0.810) x4
Cl (0.493, 0.562, 0.688) x4

Theoretical density, g/cm³: 3.67
Calculated total energy, eV/atom: -2.924
E_form, kcal/mol of atoms: -35.0

=====

The following is a DFT calculation (PBE-GGA) of an optimized crystal structure of Tm5Ni2Sb.

Lattice parameters (Å, degrees): 7.441 7.441 13.422 90.00 90.00 90.00
Space group I4/mcm (No. 140)
Asymmetric unit:
Tm (0.000, 0.000, 0.000) x4
Tm (0.158, 0.342, 0.136) x16
Ni (0.131, 0.369, 0.500) x8
Sb (0.000, 0.000, 0.250) x4

Theoretical density, g/cm³: 9.69
Calculated total energy, eV/atom: -5.314
E_form, kcal/mol of atoms: -13.4